VASP calculation (PBE) on a relaxed structure of Nd2In3Cu.

The calculation puts the distance to the lowest polymorph of the same formula at 11 meV/atom. The value obtained for the calculated volume is 25.78 Å³ per atom. The value obtained for the calculated total energy is -4.056 eV per atom. The value obtained for the calculated formation energy is -2.44 eV/f.u.

It has space group Pmm2 (No. 25), with a = 3.816 Å, b = 4.827 Å, c = 8.396 Å, α = 90.00°, β = 90.00° and γ = 90.00°. Symmetry generates all atoms from Nd at (0.000, 0.000, 0.000), Nd at (0.000, 0.500, 0.489), In at (0.500, 0.000, 0.639), In at (0.500, 0.500, 0.174), In at (0.500, 0.500, 0.829) and Cu at (0.500, 0.000, 0.321).